Record 1
The following is a meta-GGA r2SCAN calculation of a relaxed NiPtF6 crystal, from the Materials Project database.

a b c (Å): 5.351 5.350 5.353
angles (deg): 54.54 54.49 54.51
Fractional positions:
1 F 0.904 0.253 0.593
2 F 0.592 0.905 0.254
3 F 0.096 0.747 0.407
4 F 0.252 0.592 0.905
5 Ni 0.000 0.000 0.000
6 Pt 0.500 0.500 0.500
7 F 0.408 0.095 0.746
8 F 0.748 0.408 0.095

- formation energy (eV/atom) = -1.787

Record 2
The following is a meta-GGA r2SCAN calculation of a relaxed Rb3NiF7 crystal, from the Materials Project database.

a b c (Å): 7.909 7.909 5.832
angles (deg): 90.00 90.00 90.00
Fractional positions:
1 F 0.659 0.841 0.000
2 F 0.888 0.612 0.218
3 F 0.500 0.500 0.500
4 Ni 0.000 0.500 0.000
5 F 0.888 0.612 0.782
6 F 0.112 0.388 0.218
7 Rb 0.810 0.310 0.500
8 F 0.159 0.659 0.000
9 Rb 0.000 0.000 0.000
10 Rb 0.500 0.500 0.000
11 Ni 0.500 0.000 0.000
12 F 0.612 0.112 0.782
13 Rb 0.310 0.190 0.500
14 F 0.112 0.388 0.782
15 F 0.388 0.888 0.218
16 F 0.388 0.888 0.782
17 F 0.000 0.000 0.500
18 Rb 0.190 0.690 0.500
19 F 0.841 0.341 0.000
20 F 0.341 0.159 0.000
21 Rb 0.690 0.810 0.500
22 F 0.612 0.112 0.218

- formation energy (eV/atom) = -2.530

Record 3
The following is a meta-GGA r2SCAN calculation of a relaxed NiRhF6 crystal, from the Materials Project database.

a b c (Å): 5.299 5.299 5.298
angles (deg): 54.99 55.00 54.99
Fractional positions:
1 Ni 0.500 0.500 0.500
2 F 0.902 0.243 0.603
3 F 0.756 0.397 0.098
4 F 0.098 0.757 0.397
5 F 0.244 0.603 0.902
6 Rh 0.000 0.000 0.000
7 F 0.604 0.902 0.243
8 F 0.396 0.098 0.757

- formation energy (eV/atom) = -1.905

no.,total DFT energy (no corrections) (eV/atom)
1,-12.065
2,-9.408
3,-8.764